Record 1
Bi13Pt3I7: optimized geometry, PBE.

Geometry as CIF:
```
data_Bi13Pt3I7
_chemical_formula_sum 'Bi26 Pt6 I14'
_space_group_name_H-M_alt 'P -1'
_space_group_IT_number 2
_space_group_name_Hall '-P 1'
_cell_length_a 9.333
_cell_length_b 9.342
_cell_length_c 21.790
_cell_angle_alpha 90.70
_cell_angle_beta 95.43
_cell_angle_gamma 119.97
loop_
_atom_site_label
_atom_site_type_symbol
_atom_site_fract_x
_atom_site_fract_y
_atom_site_fract_z
Bi1 Bi 0.012 0.458 0.128
Bi2 Bi 0.014 0.801 0.125
Bi3 Bi 0.061 0.829 0.280
Bi4 Bi 0.064 0.490 0.284
Bi5 Bi 0.234 0.240 0.124
Bi6 Bi 0.239 0.764 0.504
Bi7 Bi 0.281 0.269 0.282
Bi8 Bi 0.351 0.800 0.125
Bi9 Bi 0.378 0.734 0.720
Bi10 Bi 0.381 0.393 0.716
Bi11 Bi 0.404 0.830 0.282
Bi12 Bi 0.425 0.416 0.872
Bi13 Bi 0.430 0.760 0.876
Pt1 Pt 0.183 0.465 0.795
Pt2 Pt 0.317 0.035 0.204
Pt3 Pt 0.317 0.534 0.205
I1 I 0.107 0.426 0.575
I2 I 0.115 0.918 0.588
I3 I 0.181 0.966 0.789
I4 I 0.247 0.996 0.990
I5 I 0.250 0.499 0.999
I6 I 0.375 0.588 0.419
I7 I 0.390 0.073 0.425
```

Properties
The calculation puts the raw total energy at -3.713 eV per atom. The calculation puts the calculated formation energy at -0.3740 eV per atom. As for the total magnetization: 0.00 μB/f.u.

---

Record 2
Bi16Pt11I6: optimized geometry, PBE.

Geometry as CIF:
```
data_Bi16Pt11I6
_chemical_formula_sum 'Bi32 Pt22 I12'
_space_group_name_H-M_alt 'P 4 21 2'
_space_group_IT_number 90
_space_group_name_Hall 'P 4ab 2ab'
_cell_length_a 14.168
_cell_length_b 14.168
_cell_length_c 9.425
_cell_angle_alpha 90.00
_cell_angle_beta 90.00
_cell_angle_gamma 90.00
loop_
_atom_site_label
_atom_site_type_symbol
_atom_site_fract_x
_atom_site_fract_y
_atom_site_fract_z
Bi1 Bi 0.000 0.000 0.223
Bi2 Bi 0.000 0.500 0.138
Bi3 Bi 0.000 0.500 0.554
Bi4 Bi 0.061 0.301 0.815
Bi5 Bi 0.070 0.275 0.202
Bi6 Bi 0.174 0.826 0.176
Pt1 Pt 0.000 0.500 0.849
Pt2 Pt 0.003 0.142 0.003
Pt3 Pt 0.095 0.677 0.007
Pt4 Pt 0.198 0.198 0.000
I1 I 0.102 0.695 0.508
I2 I 0.117 0.117 0.500
```

Properties
The calculation puts the raw total energy at -4.476 eV per atom. The calculation puts the calculated formation energy at -0.3577 eV per atom. As for the total magnetization: 0.00 μB/f.u.

---

Record 3
Bi19S27I3: optimized geometry, PBE.

Geometry as CIF:
```
data_Bi19S27I3
_chemical_formula_sum 'Bi114 S162 I18'
_space_group_name_H-M_alt 'R 3'
_space_group_IT_number 146
_space_group_name_Hall 'R 3'
_cell_length_a 27.2977
_cell_length_b 27.2977
_cell_length_c 12.1680
_cell_angle_alpha 90.00
_cell_angle_beta 90.00
_cell_angle_gamma 120.00
loop_
_atom_site_label
_atom_site_type_symbol
_atom_site_fract_x
_atom_site_fract_y
_atom_site_fract_z
Bi1 Bi 0.0000 0.0000 0.0627
Bi2 Bi 0.0000 0.0000 0.5670
Bi3 Bi 0.0321 0.4554 0.4936
Bi4 Bi 0.0326 0.4564 0.1611
Bi5 Bi 0.0330 0.4561 0.8311
Bi6 Bi 0.0577 0.8834 0.3262
Bi7 Bi 0.0629 0.8843 0.6667
Bi8 Bi 0.0639 0.8852 0.9915
Bi9 Bi 0.1221 0.7569 0.9961
Bi10 Bi 0.1225 0.7572 0.3303
Bi11 Bi 0.1232 0.7568 0.6596
Bi12 Bi 0.1745 0.0578 0.8263
Bi13 Bi 0.1783 0.0625 0.1669
Bi14 Bi 0.1796 0.0643 0.4907
S1 S 0.0445 0.2183 0.3263
S2 S 0.0443 0.2202 0.6621
S3 S 0.0443 0.2208 0.9953
S4 S 0.0468 0.1132 0.1584
S5 S 0.0483 0.1169 0.4957
S6 S 0.0487 0.1155 0.8293
S7 S 0.0524 0.5604 0.8300
S8 S 0.0527 0.5602 0.4938
S9 S 0.0536 0.5612 0.1602
S10 S 0.1142 0.0667 0.6589
S11 S 0.1157 0.0668 0.3298
S12 S 0.1172 0.0688 0.9964
S13 S 0.1567 0.7108 0.1622
S14 S 0.1581 0.3855 0.6592
S15 S 0.1575 0.7117 0.8286
S16 S 0.1589 0.3862 0.3303
S17 S 0.1592 0.3860 0.9953
S18 S 0.1593 0.7114 0.4941
I1 I 0.0002 0.3334 0.3289
I2 I 0.0001 0.6666 0.1638
```

Properties
The calculation puts the raw total energy at -4.223 eV per atom. The calculation puts the calculated formation energy at -0.6427 eV per atom. As for the total magnetization: 0.00 μB/f.u.

---

Record 4
Tl7Bi3I16: optimized geometry, PBE.

Geometry as CIF:
```
data_Tl7Bi3I16
_chemical_formula_sum 'Tl84 Bi36 I192'
_space_group_name_H-M_alt 'C m c m'
_space_group_IT_number 63
_space_group_name_Hall '-C 2c 2'
_cell_length_a 25.347
_cell_length_b 14.763
_cell_length_c 36.887
_cell_angle_alpha 90.00
_cell_angle_beta 90.00
_cell_angle_gamma 90.00
loop_
_atom_site_label
_atom_site_type_symbol
_atom_site_fract_x
_atom_site_fract_y
_atom_site_fract_z
Tl1 Tl 0.000 0.052 0.116
Tl2 Tl 0.000 0.052 0.250
Tl3 Tl 0.000 0.373 0.544
Tl4 Tl 0.142 0.473 0.250
Tl5 Tl 0.148 0.188 0.028
Tl6 Tl 0.148 0.476 0.120
Tl7 Tl 0.163 0.165 0.750
Tl8 Tl 0.168 0.163 0.620
Bi1 Bi 0.000 0.000 0.000
Bi2 Bi 0.000 0.339 0.684
Bi3 Bi 0.162 0.165 0.183
Bi4 Bi 0.164 0.500 0.000
I1 I 0.000 0.191 0.031
I2 I 0.000 0.192 0.750
I3 I 0.000 0.209 0.622
I4 I 0.000 0.487 0.750
I5 I 0.000 0.497 0.633
I6 I 0.078 0.410 0.043
I7 I 0.086 0.247 0.131
I8 I 0.090 0.242 0.250
I9 I 0.093 0.043 0.553
I10 I 0.098 0.016 0.685
I11 I 0.124 0.341 0.686
I12 I 0.146 0.339 0.554
I13 I 0.226 0.096 0.121
I14 I 0.226 0.348 0.186
I15 I 0.234 0.087 0.250
I16 I 0.242 0.377 0.046
```

Properties
The calculation puts the raw total energy at -2.602 eV per atom. The calculation puts the calculated formation energy at -0.8125 eV per atom. As for the total magnetization: 0.00 μB/f.u.

---

Record 5
Tl3Bi2I9: optimized geometry, PBE.

Geometry as CIF:
```
data_Tl3Bi2I9
_chemical_formula_sum 'Tl12 Bi8 I36'
_space_group_name_H-M_alt 'P 1 21/c 1'
_space_group_IT_number 14
_space_group_name_Hall '-P 2ybc'
_cell_length_a 14.803
_cell_length_b 8.089
_cell_length_c 25.265
_cell_angle_alpha 90.00
_cell_angle_beta 122.73
_cell_angle_gamma 90.00
loop_
_atom_site_label
_atom_site_type_symbol
_atom_site_fract_x
_atom_site_fract_y
_atom_site_fract_z
Tl1 Tl 0.019 0.039 0.385
Tl2 Tl 0.325 0.543 0.786
Tl3 Tl 0.348 0.038 0.048
Bi1 Bi 0.172 0.503 0.340
Bi2 Bi 0.327 0.515 0.159
I1 I 0.064 0.673 0.752
I2 I 0.098 0.610 0.424
I3 I 0.151 0.178 0.551
I4 I 0.193 0.681 0.624
I5 I 0.229 0.127 0.740
I6 I 0.269 0.189 0.413
I7 I 0.381 0.682 0.417
I8 I 0.428 0.612 0.089
I9 I 0.476 0.178 0.209
```

Properties
The calculation puts the raw total energy at -2.601 eV per atom. The calculation puts the calculated formation energy at -0.8025 eV per atom. As for the total magnetization: 0.00 μB/f.u.